Crystalline RbNi4P3O12 at its relaxed geometry, computed with PBE with a Hubbard U.

Lattice parameters (Å, degrees): 9.5838 16.5260 6.2432 90.00 90.00 90.00
With the nearest neighbours (Å) after each atom.
Space group Pnnm (No. 58)
One atom of each set of equivalent atoms:
Rb: 0.1967 0.0313 0.0000 x4  6 O 2.80-2.97
Ni: 0.0133 0.1429 0.5000 x4  6 O 1.99-2.22
Ni: 0.0320 0.5924 0.0000 x4  5 O 1.98-2.11
Ni: 0.2465 0.7958 0.2499 x8  5 O 2.04-2.16
P: 0.0368 0.6634 0.5000 x4  4 O 1.52-1.63
P: 0.0480 0.2216 0.0000 x4  4 O 1.55-1.60
P: 0.2046 0.9627 0.5000 x4  4 O 1.52-1.58
O: 0.0836 0.6187 0.2990 x8  1 P 1.52
O: 0.1075 0.1843 0.2081 x8  1 P 1.55
O: 0.1101 0.7521 0.5000 x4  1 P 1.63
O: 0.1111 0.3110 0.0000 x4  1 P 1.60
O: 0.1135 0.7739 0.0000 x4  1 P 1.55
O: 0.1252 0.3244 0.5000 x4  1 P 1.56
O: 0.1332 0.0446 0.5000 x4  1 P 1.52
O: 0.1358 0.4800 0.0000 x4  1 P 1.56
O: 0.1580 0.9086 0.3044 x8  1 P 1.58

Output
MP2020-corrected energy (eV for the cell shown): -573.3
Calculated formation energy (eV per atom): -2.18
Total energy (eV/atom): -6.245


Crystalline Ni3SbP4O16 at its relaxed geometry, computed with PBE with a Hubbard U.

Lattice parameters (Å, degrees): 4.8561 5.8764 9.9626 90.00 90.14 90.00
With the nearest neighbours (Å) after each atom.
Space group Pm (No. 6)
One atom of each set of equivalent atoms:
Ni: 0.0000 0.0000 0.0000 x1  6 O 2.00-2.17
Ni: 0.0904 0.5000 0.5408 x1  4 O 1.97-2.10
Ni: 0.5101 0.5000 0.0356 x1  6 O 1.99-2.14
Sb: 0.5786 0.0000 0.4849 x1  6 O 1.95-2.10
P: 0.1458 0.0000 0.6751 x1  4 O 1.48-1.61
P: 0.4553 0.0000 0.1642 x1  4 O 1.51-1.64
P: 0.6240 0.5000 0.3520 x1  4 O 1.49-1.64
P: 0.9495 0.5000 0.8638 x1  4 O 1.54-1.56
O: 0.2050 0.0000 0.8205 x1  1 P 1.48
O: 0.2655 0.5000 0.8750 x1  1 P 1.54
O: 0.2972 0.1990 0.5929 x2  1 P 1.61
O: 0.3112 0.2069 0.0982 x2  1 P 1.55
O: 0.3201 0.5000 0.3783 x1  1 P 1.50
O: 0.3583 0.0000 0.3213 x1  1 P 1.64
O: 0.7195 0.5000 0.2098 x1  1 P 1.49
O: 0.7655 0.0000 0.1653 x1  1 P 1.51
O: 0.7745 0.2935 0.4351 x2  1 P 1.64
O: 0.8086 0.2942 0.9343 x2  1 P 1.56
O: 0.8299 0.0000 0.6446 x1  1 P 1.56
O: 0.8875 0.5000 0.7123 x1  1 P 1.54

Output
MP2020-corrected energy (eV for the cell shown): -172.8
Calculated formation energy (eV per atom): -2.10
Total energy (eV/atom): -6.424


Crystalline NiSbP2O9 at its relaxed geometry, computed with PBE with a Hubbard U.

Lattice parameters (Å, degrees): 14.0698 6.3985 7.8810 90.00 90.00 90.00
With the nearest neighbours (Å) after each atom.
Space group Pnma (No. 62)
One atom of each set of equivalent atoms:
Ni: 0.0000 0.0000 0.0000 x4  6 O 1.95-2.08
Sb: 0.1233 0.2500 0.3479 x4  6 O 1.93-2.06
P: 0.0596 0.7500 0.3450 x4  4 O 1.53-1.55
P: 0.1856 0.7500 0.8930 x4  4 O 1.53-1.61
O: 0.0179 0.7500 0.1651 x4  1 P 1.53
O: 0.0189 0.2500 0.5198 x4  1 P 1.53
O: 0.0464 0.2500 0.1453 x4  1 Sb 1.93, 2 Ni 2.07
O: 0.1260 0.5502 0.9062 x8  1 P 1.53
O: 0.1267 0.5601 0.3693 x8  1 P 1.55
O: 0.2279 0.2500 0.5258 x4  1 P 1.61
O: 0.2476 0.7500 0.7248 x4  1 P 1.59

Output
MP2020-corrected energy (eV for the cell shown): -369.0
Calculated formation energy (eV per atom): -2.07
Total energy (eV/atom): -6.424